Entry 1:
A plane-wave DFT calculation with PBE-GGA was carried out for a relaxed Co3W3N crystal.

a b c (Å): 7.8137 7.8137 7.8137
angles (deg): 60.00 60.00 60.00
Last column: nearest neighbours and their distance in Å.
Atoms (fractional coordinates):
Co 0.1250 0.1250 0.6250  6 Co 2.38
W 0.7042 0.7042 0.2958  2 N 2.14
Co 0.6250 0.1250 0.1250  6 Co 2.38
Co 0.9184 0.9184 0.2448  6 Co 2.38-2.55, 3 W 2.66
Co 0.0052 0.3316 0.3316  6 Co 2.38-2.55, 3 W 2.66
W 0.9542 0.5458 0.5458  2 N 2.14
N 0.1250 0.6250 0.6250  6 W 2.14
N 0.6250 0.6250 0.6250  6 W 2.14
N 0.6250 0.6250 0.1250  6 W 2.14
W 0.5458 0.9542 0.5458  2 N 2.14
W 0.5458 0.5458 0.9542  2 N 2.14
Co 0.9184 0.9184 0.9184  6 Co 2.38-2.55, 3 W 2.66
Co 0.9184 0.2448 0.9184  6 Co 2.38-2.55, 3 W 2.66
W 0.2958 0.2958 0.7042  2 N 2.14
W 0.2958 0.7042 0.2958  2 N 2.14
Co 0.3316 0.3316 0.0052  6 Co 2.38-2.55, 3 W 2.66
W 0.2958 0.7042 0.7042  2 N 2.14
W 0.9542 0.9542 0.5458  2 N 2.14
Co 0.3316 0.0052 0.3316  6 Co 2.38-2.55, 3 W 2.66
W 0.5458 0.9542 0.9542  2 N 2.14
Co 0.2448 0.9184 0.9184  6 Co 2.38-2.55, 3 W 2.66
Co 0.1250 0.1250 0.1250  6 Co 2.38
Co 0.1250 0.6250 0.1250  6 Co 2.38
Co 0.3316 0.3316 0.3316  6 Co 2.38-2.55, 3 W 2.66
W 0.7042 0.2958 0.7042  2 N 2.14
W 0.7042 0.2958 0.2958  2 N 2.14
N 0.6250 0.1250 0.6250  6 W 2.14
W 0.9542 0.5458 0.9542  2 N 2.14

Properties
The corrected total energy (MP2020 scheme) comes out at -277.839 eV per cell. Its space-group type is Fd-3m (227).

***

Entry 2:
A plane-wave DFT calculation with PBE-GGA was carried out for a relaxed CoWN3 crystal.

a b c (Å): 5.6282 7.4717 7.9003
angles (deg): 114.86 110.18 79.03
Last column: nearest neighbours and their distance in Å.
Atoms (fractional coordinates):
N 0.0738 0.3346 0.5334  2 W 1.98-2.13, 2 Co 1.99-2.03
N 0.6641 0.2416 0.1810  1 W 1.79
Co 0.1258 0.8173 0.4056  5 N 1.87-2.03
Co 0.3834 0.1682 0.6003  5 N 1.84-1.99
N 0.3359 0.7584 0.8190  1 W 1.79
W 0.9632 0.0350 0.1779  2 N 1.80-2.02
N 0.8986 0.8334 0.9426  2 W 1.80-2.02
N 0.1833 0.0453 0.6570  3 Co 1.84-1.97
N 0.9262 0.6654 0.4666  2 W 1.98-2.13, 2 Co 1.99-2.03
W 0.0368 0.9650 0.8221  2 N 1.80-2.02
N 0.8167 0.9547 0.3430  3 Co 1.84-1.97
W 0.7244 0.4275 0.4231  3 N 1.79-2.00
N 0.6972 0.0333 0.6559  3 Co 1.87-1.92, 1 W 2.02
Co 0.6166 0.8318 0.3997  5 N 1.84-1.99
N 0.1014 0.1666 0.0574  2 W 1.80-2.02
W 0.2756 0.5725 0.5769  3 N 1.79-2.00
N 0.3028 0.9667 0.3441  3 Co 1.87-1.92, 1 W 2.02
N 0.4397 0.6456 0.4287  2 Co 1.98, 2 W 2.00-2.05
Co 0.8742 0.1827 0.5944  5 N 1.87-2.03
N 0.5603 0.3544 0.5713  2 Co 1.98, 2 W 2.00-2.05

Properties
The corrected total energy (MP2020 scheme) comes out at -181.044 eV per cell. Its space-group type is P-1 (2).

***

Entry 3:
A plane-wave DFT calculation with PBE-GGA was carried out for a relaxed Zn2CoN2 crystal.

a b c (Å): 5.9234 5.9234 7.3295
angles (deg): 56.52 56.52 36.46
Last column: nearest neighbours and their distance in Å.
Atoms (fractional coordinates):
N 0.4986 0.4986 0.3051  2 Co 1.83-1.84
Co 0.3753 0.3753 0.6140  3 N 1.83-1.87
Zn 0.0506 0.0506 0.1571  3 N 1.99-2.05
Zn 0.9494 0.9494 0.8429  3 N 1.99-2.05
N 0.5014 0.5014 0.6949  2 Co 1.83-1.84
Zn 0.3109 0.3109 0.2865  3 N 1.98-2.19
Zn 0.6891 0.6891 0.7135  3 N 1.98-2.19
Co 0.6247 0.6247 0.3860  3 N 1.83-1.87
N 0.8276 0.8276 0.1771  1 Co 1.87, 3 Zn 1.98-1.99
N 0.1724 0.1724 0.8229  1 Co 1.87, 3 Zn 1.98-1.99

Properties
The corrected total energy (MP2020 scheme) comes out at -51.680 eV per cell. Its space-group type is C2/m (12).

***

Entry 4:
A plane-wave DFT calculation with PBE-GGA was carried out for a relaxed Zn5CoN4 crystal.

a b c (Å): 7.3264 6.5322 4.9857
angles (deg): 90.00 90.00 90.00
Last column: nearest neighbours and their distance in Å.
Atoms (fractional coordinates):
Co 0.2500 0.7500 0.2718  4 N 1.96-2.14
Zn 0.9337 0.0005 0.2529  3 N 1.99-2.11
N 0.9986 0.2500 0.5038  5 Zn 2.10-2.19, 1 Co 2.14
Zn 0.4337 0.9995 0.7471  3 N 1.99-2.11
Zn 0.2500 0.2500 0.2675  4 N 2.02-2.19
N 0.0014 0.7500 0.4962  5 Zn 2.10-2.19, 1 Co 2.14
N 0.2500 0.5064 0.0414  1 Co 1.96, 3 Zn 1.99-2.02
Zn 0.7500 0.7500 0.7325  4 N 2.02-2.19
Zn 0.5663 0.4995 0.2529  3 N 1.99-2.11
N 0.7500 0.0064 0.9586  1 Co 1.96, 3 Zn 1.99-2.02
N 0.4986 0.7500 0.4962  5 Zn 2.10-2.19, 1 Co 2.14
N 0.7500 0.4936 0.9586  1 Co 1.96, 3 Zn 1.99-2.02
Zn 0.0663 0.5005 0.7471  3 N 1.99-2.11
Co 0.7500 0.2500 0.7282  4 N 1.96-2.14
Zn 0.4337 0.5005 0.7471  3 N 1.99-2.11
Zn 0.5663 0.0005 0.2529  3 N 1.99-2.11
Zn 0.0663 0.9995 0.7471  3 N 1.99-2.11
N 0.2500 0.9936 0.0414  1 Co 1.96, 3 Zn 1.99-2.02
Zn 0.9337 0.4995 0.2529  3 N 1.99-2.11
N 0.5014 0.2500 0.5038  5 Zn 2.10-2.19, 1 Co 2.14

Properties
The corrected total energy (MP2020 scheme) comes out at -90.908 eV per cell. Its space-group type is Pmmn (59).

***

Entry 5:
A plane-wave DFT calculation with PBE-GGA was carried out for a relaxed Zr4Co2N crystal.

a b c (Å): 8.6260 8.6260 8.6260
angles (deg): 60.00 60.00 60.00
Last column: nearest neighbours and their distance in Å.
Atoms (fractional coordinates):
Zr 0.4350 0.4350 0.0650  2 N 2.28
Zr 0.8150 0.1850 0.1850  2 N 2.28
Co 0.4123 0.7630 0.4123  6 Zr 2.67-2.81
N 0.1250 0.1250 0.1250  6 Zr 2.28
N 0.1250 0.1250 0.6250  6 Zr 2.28
Zr 0.1850 0.1850 0.8150  2 N 2.28
Zr 0.0650 0.0650 0.4350  2 N 2.28
Zr 0.0650 0.4350 0.4350  2 N 2.28
Co 0.7630 0.4123 0.4123  6 Zr 2.67-2.81
Zr 0.8150 0.1850 0.8150  2 N 2.28
N 0.6250 0.1250 0.1250  6 Zr 2.28
Zr 0.6250 0.1250 0.6250  6 Co 2.67
Zr 0.1250 0.6250 0.6250  6 Co 2.67
Co 0.4870 0.8377 0.8377  6 Zr 2.67-2.81
Zr 0.6250 0.6250 0.6250  6 Co 2.67
Co 0.8377 0.8377 0.4870  6 Zr 2.67-2.81
Zr 0.4350 0.0650 0.0650  2 N 2.28
Zr 0.8150 0.8150 0.1850  2 N 2.28
Zr 0.0650 0.4350 0.0650  2 N 2.28
Co 0.4123 0.4123 0.4123  6 Zr 2.67-2.81
Co 0.8377 0.4870 0.8377  6 Zr 2.67-2.81
Zr 0.4350 0.0650 0.4350  2 N 2.28
Zr 0.6250 0.6250 0.1250  6 Co 2.67
Zr 0.1850 0.8150 0.1850  2 N 2.28
Co 0.8377 0.8377 0.8377  6 Zr 2.67-2.81
N 0.1250 0.6250 0.1250  6 Zr 2.28
Co 0.4123 0.4123 0.7630  6 Zr 2.67-2.81
Zr 0.1850 0.8150 0.8150  2 N 2.28

Properties
The corrected total energy (MP2020 scheme) comes out at -248.300 eV per cell. Its space-group type is Fd-3m (227).

***

Entry 6:
A plane-wave DFT calculation with PBE-GGA was carried out for a relaxed NaCo3 crystal.

a b c (Å): 6.0107 6.0107 4.0161
angles (deg): 90.00 90.00 120.00
Last column: nearest neighbours and their distance in Å.
Atoms (fractional coordinates):
Co 0.2630 0.1315 0.7500  6 Co 2.37-2.43
Na 0.3333 0.6667 0.7500  12 Co 2.91-3.03
Co 0.7370 0.8685 0.2500  6 Co 2.37-2.43
Co 0.8685 0.1315 0.7500  6 Co 2.37-2.43
Co 0.1315 0.2630 0.2500  6 Co 2.37-2.43
Co 0.1315 0.8685 0.2500  6 Co 2.37-2.43
Co 0.8685 0.7370 0.7500  6 Co 2.37-2.43
Na 0.6667 0.3333 0.2500  12 Co 2.91-3.03

Properties
Its space-group type is P6_3/mmc (194).

***

Entry 7:
A plane-wave DFT calculation with PBE-GGA was carried out for a relaxed Na3Co crystal.

a b c (Å): 5.1837 5.1837 5.1837
angles (deg): 60.00 60.00 60.00
Last column: nearest neighbours and their distance in Å.
Atoms (fractional coordinates):
Co 0.0000 0.0000 0.0000  8 Na 3.17
Na 0.5000 0.5000 0.5000  8 Na 3.17
Na 0.7500 0.7500 0.7500  4 Co 3.17, 4 Na 3.17
Na 0.2500 0.2500 0.2500  4 Na 3.17, 4 Co 3.17

Properties
Its space-group type is Fm-3m (225).

***

Entry 8:
A plane-wave DFT calculation with PBE-GGA was carried out for a relaxed Na2CoSe2 crystal.

a b c (Å): 7.4418 7.4418 7.4418
angles (deg): 133.88 128.20 71.85
Last column: nearest neighbours and their distance in Å.
Atoms (fractional coordinates):
Se 0.9032 0.1132 0.7900  2 Co 2.42
Na 0.4721 0.1422 0.3300  5 Se 2.96-3.17, 2 Co 3.11
Co 0.0000 0.7500 0.7500  4 Se 2.42
Na 0.1878 0.3578 0.8300  5 Se 2.96-3.17, 2 Co 3.11
Se 0.3232 0.6132 0.7100  2 Co 2.42
Se 0.6768 0.3868 0.2900  2 Co 2.42
Na 0.8122 0.6422 0.1700  5 Se 2.96-3.17, 2 Co 3.11
Co 0.0000 0.2500 0.2500  4 Se 2.42
Na 0.5279 0.8578 0.6700  5 Se 2.96-3.17, 2 Co 3.11
Se 0.0968 0.8868 0.2100  2 Co 2.42

Properties
The corrected total energy (MP2020 scheme) comes out at -41.978 eV per cell. Its space-group type is Ibam (72).

***

Entry 9:
A plane-wave DFT calculation with PBE-GGA was carried out for a relaxed NbCo2 crystal.

a b c (Å): 4.7815 4.7815 7.7651
angles (deg): 90.00 90.00 120.00
Last column: nearest neighbours and their distance in Å.
Atoms (fractional coordinates):
Co 0.3374 0.1687 0.2500  6 Co 2.36-2.42
Co 0.8313 0.1687 0.2500  6 Co 2.36-2.42
Nb 0.3333 0.6667 0.4359  12 Co 2.79-2.81, 4 Nb 2.89-2.93
Co 0.0000 0.0000 0.0000  6 Co 2.39
Co 0.0000 0.0000 0.5000  6 Co 2.39
Nb 0.6667 0.3333 0.9359  12 Co 2.79-2.81, 4 Nb 2.89-2.93
Co 0.6626 0.8313 0.7500  6 Co 2.36-2.42
Co 0.1687 0.3374 0.7500  6 Co 2.36-2.42
Nb 0.6667 0.3333 0.5641  12 Co 2.79-2.81, 4 Nb 2.89-2.93
Co 0.1687 0.8313 0.7500  6 Co 2.36-2.42
Nb 0.3333 0.6667 0.0641  12 Co 2.79-2.81, 4 Nb 2.89-2.93
Co 0.8313 0.6626 0.2500  6 Co 2.36-2.42

Properties
Its space-group type is P6_3/mmc (194).

***

Entry 10:
A plane-wave DFT calculation with PBE-GGA was carried out for a relaxed NbCo2 crystal.

a b c (Å): 4.7771 4.7771 15.5897
angles (deg): 90.00 90.00 120.00
Last column: nearest neighbours and their distance in Å.
Atoms (fractional coordinates):
Co 0.0000 0.5000 0.0000  6 Co 2.39
Co 0.1656 0.3311 0.2500  6 Co 2.37-2.40
Co 0.6667 0.3333 0.6254  6 Co 2.39
Nb 0.0000 0.0000 0.5930  12 Co 2.79-2.80, 4 Nb 2.90-2.93
Nb 0.3333 0.6667 0.6561  12 Co 2.80, 4 Nb 2.93
Co 0.0000 0.5000 0.5000  6 Co 2.39
Co 0.3311 0.1656 0.7500  6 Co 2.37-2.40
Nb 0.6667 0.3333 0.1561  12 Co 2.80, 4 Nb 2.93
Nb 0.0000 0.0000 0.0930  12 Co 2.79-2.80, 4 Nb 2.90-2.93
Co 0.8344 0.6689 0.7500  6 Co 2.37-2.40
Nb 0.0000 0.0000 0.9070  12 Co 2.79-2.80, 4 Nb 2.90-2.93
Co 0.3333 0.6667 0.1254  6 Co 2.39
Co 0.5000 0.0000 0.0000  6 Co 2.39
Co 0.6689 0.8344 0.2500  6 Co 2.37-2.40
Nb 0.3333 0.6667 0.8439  12 Co 2.80, 4 Nb 2.93
Co 0.6667 0.3333 0.8746  6 Co 2.39
Co 0.8344 0.1656 0.7500  6 Co 2.37-2.40
Nb 0.0000 0.0000 0.4070  12 Co 2.79-2.80, 4 Nb 2.90-2.93
Co 0.5000 0.5000 0.5000  6 Co 2.39
Nb 0.6667 0.3333 0.3439  12 Co 2.80, 4 Nb 2.93
Co 0.5000 0.0000 0.5000  6 Co 2.39
Co 0.5000 0.5000 0.0000  6 Co 2.39
Co 0.1656 0.8344 0.2500  6 Co 2.37-2.40
Co 0.3333 0.6667 0.3746  6 Co 2.39

Properties
Its space-group type is P6_3/mmc (194).

***

Entry 11:
A plane-wave DFT calculation with PBE-GGA was carried out for a relaxed NbCo crystal.

a b c (Å): 4.9408 4.9408 17.7443
angles (deg): 98.00 98.00 60.00
Last column: nearest neighbours and their distance in Å.
Atoms (fractional coordinates):
Co 0.7968 0.7968 0.8867  5 Co 2.44-2.49, 3 Nb 2.68
Co 0.7968 0.2930 0.8867  5 Co 2.44-2.49, 3 Nb 2.68
Nb 0.1738 0.1738 0.5214  7 Nb 2.72-2.95, 9 Co 2.81-3.00
Nb 0.8262 0.8262 0.4786  7 Nb 2.72-2.95, 9 Co 2.81-3.00
Nb 0.7745 0.7745 0.3234  2 Nb 2.64-2.72, 6 Co 2.67
Nb 0.0824 0.0824 0.2471  6 Co 2.74, 3 Nb 2.85
Co 0.1978 0.7103 0.6183  4 Co 2.41-2.53, 3 Nb 2.54-2.67
Nb 0.2757 0.2757 0.8271  2 Nb 2.64-2.75, 6 Co 2.68
Co 0.2032 0.7070 0.1133  5 Co 2.44-2.49, 3 Nb 2.68
Co 0.7103 0.7103 0.6183  4 Co 2.41-2.53, 3 Nb 2.54-2.67
Co 0.0000 0.0000 0.0000  6 Co 2.44
Co 0.2032 0.2032 0.1133  5 Co 2.44-2.49, 3 Nb 2.68
Nb 0.9176 0.9176 0.7529  6 Co 2.74, 3 Nb 2.85
Nb 0.4166 0.4166 0.2499  6 Co 2.73-2.79, 3 Nb 2.85
Co 0.7103 0.1978 0.6183  4 Co 2.41-2.53, 3 Nb 2.54-2.67
Nb 0.5834 0.5834 0.7501  6 Co 2.73-2.79, 3 Nb 2.85
Nb 0.5000 0.5000 0.5000  6 Co 2.54
Nb 0.7243 0.7243 0.1729  2 Nb 2.64-2.75, 6 Co 2.68
Co 0.2930 0.7968 0.8867  5 Co 2.44-2.49, 3 Nb 2.68
Co 0.2897 0.2897 0.3817  4 Co 2.41-2.53, 3 Nb 2.54-2.67
Nb 0.3281 0.3281 0.9844  6 Co 2.68-2.87, 4 Nb 2.75-2.90
Nb 0.2255 0.2255 0.6766  2 Nb 2.64-2.72, 6 Co 2.67
Co 0.2897 0.8022 0.3817  4 Co 2.41-2.53, 3 Nb 2.54-2.67
Nb 0.6719 0.6719 0.0156  6 Co 2.68-2.87, 4 Nb 2.75-2.90
Co 0.7070 0.2032 0.1133  5 Co 2.44-2.49, 3 Nb 2.68
Co 0.8022 0.2897 0.3817  4 Co 2.41-2.53, 3 Nb 2.54-2.67

Properties
Its space-group type is R-3m (166).

***

Entry 12:
A plane-wave DFT calculation with PBE-GGA was carried out for a relaxed NbCo crystal.

a b c (Å): 3.0820 3.0820 3.0820
angles (deg): 90.00 90.00 90.00
Last column: nearest neighbours and their distance in Å.
Atoms (fractional coordinates):
Nb 0.0000 0.0000 0.0000  8 Co 2.67
Co 0.5000 0.5000 0.5000  8 Nb 2.67

Properties
Its space-group type is Pm-3m (221).

***

Number 1: V 337.3 Å³ per cell, E_form -0.13 eV per atom. Number 2: V 282.5 Å³ per cell, E_form -0.04 eV per atom. Number 3: V 124.4 Å³ per cell, E_form 0.09 eV per atom. Number 4: V 238.6 Å³ per cell, E_form 0.13 eV per atom. Number 5: V 453.9 Å³ per cell, E_form -0.76 eV per atom. Number 6: V 125.7 Å³ per cell, E_form 0.64 eV per atom. Number 7: V 98.5 Å³ per cell, E_form 0.66 eV per atom. Number 8: V 228.4 Å³ per cell, E_form -0.85 eV per atom. Number 9: V 153.7 Å³ per cell, E_form -0.14 eV per atom. Number 10: V 308.1 Å³ per cell, E_form -0.15 eV per atom. Number 11: V 370.3 Å³ per cell, E_form -0.15 eV per atom. Number 12: V 29.3 Å³ per cell, E_form -0.04 eV per atom.